Compound: Ba5LiGaN3F5
Source: the Materials Project
Functional: PBE
Structure: optimized geometry

Lattice parameters (Å, degrees): 15.600 5.793 12.359 90.00 90.00 90.00
Sites, in units of the cell vectors:
Ba: 0.011 0.250 0.121
Ba: 0.065 0.250 0.683
Ba: 0.157 0.750 0.469
Ba: 0.164 0.750 0.133
Ba: 0.245 0.250 0.278
Ba: 0.255 0.750 0.778
Ba: 0.336 0.250 0.633
Ba: 0.343 0.250 0.969
Ba: 0.435 0.750 0.183
Ba: 0.489 0.750 0.621
Ba: 0.511 0.250 0.379
Ba: 0.565 0.250 0.817
Ba: 0.657 0.750 0.031
Ba: 0.664 0.750 0.367
Ba: 0.745 0.250 0.222
Ba: 0.755 0.750 0.722
Ba: 0.836 0.250 0.867
Ba: 0.843 0.250 0.531
Ba: 0.935 0.750 0.317
Ba: 0.989 0.750 0.879
Li: 0.042 0.250 0.402
Li: 0.458 0.750 0.902
Li: 0.542 0.250 0.098
Li: 0.958 0.750 0.598
Ga: 0.141 0.250 0.924
Ga: 0.359 0.750 0.424
Ga: 0.641 0.250 0.576
Ga: 0.859 0.750 0.076
N: 0.020 0.250 0.898
N: 0.184 0.250 0.073
N: 0.218 0.250 0.803
N: 0.282 0.750 0.303
N: 0.316 0.750 0.573
N: 0.480 0.750 0.398
N: 0.520 0.250 0.602
N: 0.684 0.250 0.427
N: 0.718 0.250 0.697
N: 0.782 0.750 0.197
N: 0.816 0.750 0.927
N: 0.980 0.750 0.102
F: 0.000 0.000 0.500
F: 0.000 0.500 0.500
F: 0.089 0.012 0.301
F: 0.089 0.488 0.301
F: 0.093 0.750 0.686
F: 0.178 0.250 0.493
F: 0.322 0.750 0.993
F: 0.407 0.250 0.186
F: 0.411 0.512 0.801
F: 0.411 0.988 0.801
F: 0.500 0.000 0.000
F: 0.500 0.500 0.000
F: 0.589 0.012 0.199
F: 0.589 0.488 0.199
F: 0.593 0.750 0.814
F: 0.678 0.250 0.007
F: 0.822 0.750 0.507
F: 0.907 0.250 0.314
F: 0.911 0.512 0.699
F: 0.911 0.988 0.699

Output
As for the space group: Pnma (62). For the total magnetic moment, the calculation gives 0.00 μB per formula unit. Its crystal system is orthorhombic. The theoretical density is 5.35 g cm⁻³. Its corrected total energy (MP2020 scheme) is -335.78 eV for the cell shown. Its calculated formation energy is -2.32 eV/atom.

---

Compound: BaH6F8
Source: the Materials Project
Functional: PBE
Structure: optimized geometry

Lattice parameters (Å, degrees): 7.898 7.898 12.768 90.00 90.00 120.00
Sites, in units of the cell vectors:
Ba: 0.333 0.667 0.063
Ba: 0.333 0.667 0.437
Ba: 0.667 0.333 0.563
Ba: 0.667 0.333 0.937
H: 0.000 0.829 0.000
H: 0.000 0.829 0.500
H: 0.029 0.709 0.250
H: 0.113 0.390 0.665
H: 0.113 0.390 0.835
H: 0.171 0.171 0.000
H: 0.171 0.171 0.500
H: 0.277 0.887 0.665
H: 0.277 0.887 0.835
H: 0.291 0.319 0.250
H: 0.319 0.291 0.750
H: 0.390 0.113 0.165
H: 0.390 0.113 0.335
H: 0.610 0.723 0.665
H: 0.610 0.723 0.835
H: 0.681 0.971 0.250
H: 0.709 0.029 0.750
H: 0.723 0.610 0.165
H: 0.723 0.610 0.335
H: 0.829 0.000 0.000
H: 0.829 0.000 0.500
H: 0.887 0.277 0.165
H: 0.887 0.277 0.335
H: 0.971 0.681 0.750
F: 0.000 0.000 0.000
F: 0.000 0.000 0.500
F: 0.000 0.701 0.000
F: 0.000 0.701 0.500
F: 0.068 0.440 0.604
F: 0.068 0.440 0.896
F: 0.159 0.830 0.750
F: 0.169 0.736 0.250
F: 0.170 0.329 0.750
F: 0.264 0.432 0.250
F: 0.299 0.299 0.000
F: 0.299 0.299 0.500
F: 0.329 0.170 0.250
F: 0.372 0.932 0.604
F: 0.372 0.932 0.896
F: 0.432 0.264 0.750
F: 0.440 0.068 0.104
F: 0.440 0.068 0.396
F: 0.560 0.628 0.604
F: 0.560 0.628 0.896
F: 0.568 0.831 0.250
F: 0.628 0.560 0.104
F: 0.628 0.560 0.396
F: 0.671 0.841 0.750
F: 0.701 0.000 0.000
F: 0.701 0.000 0.500
F: 0.736 0.169 0.750
F: 0.830 0.159 0.250
F: 0.831 0.568 0.750
F: 0.841 0.671 0.250
F: 0.932 0.372 0.104
F: 0.932 0.372 0.396

Output
As for the space group: P-62c (190). Its crystal system is hexagonal. The theoretical density is 2.84 g cm⁻³. Its corrected total energy (MP2020 scheme) is -290.10 eV for the cell shown. Its calculated formation energy is -2.33 eV/atom.

---

Compound: Ba4P3HF24
Source: the Materials Project
Functional: PBE
Structure: optimized geometry

Lattice parameters (Å, degrees): 4.803 9.303 11.876 67.52 85.01 78.96
Sites, in units of the cell vectors:
Ba: 0.118 0.058 0.246
Ba: 0.235 0.303 0.794
Ba: 0.765 0.697 0.206
Ba: 0.882 0.942 0.754
P: 0.334 0.280 0.446
P: 0.500 0.500 0.000
P: 0.666 0.720 0.554
H: 0.000 0.000 0.000
F: 0.060 0.360 0.354
F: 0.094 0.099 0.011
F: 0.156 0.336 0.550
F: 0.208 0.114 0.501
F: 0.232 0.786 0.224
F: 0.240 0.585 0.903
F: 0.305 0.548 0.105
F: 0.346 0.021 0.783
F: 0.380 0.333 0.045
F: 0.395 0.801 0.464
F: 0.454 0.446 0.388
F: 0.492 0.778 0.660
F: 0.508 0.222 0.340
F: 0.546 0.554 0.612
F: 0.605 0.199 0.536
F: 0.620 0.667 0.955
F: 0.654 0.979 0.217
F: 0.695 0.452 0.895
F: 0.760 0.415 0.097
F: 0.768 0.214 0.776
F: 0.792 0.886 0.499
F: 0.844 0.664 0.450
F: 0.906 0.901 0.989
F: 0.940 0.640 0.646

Output
As for the space group: P-1 (2). For the total magnetic moment, the calculation gives 0.00 μB per formula unit. Its crystal system is triclinic. The theoretical density is 3.79 g cm⁻³. Its corrected total energy (MP2020 scheme) is -181.11 eV for the cell shown. Its calculated formation energy is -3.37 eV/atom.

---

Compound: BaHfF6
Source: the Materials Project
Functional: PBE
Structure: optimized geometry

Lattice parameters (Å, degrees): 6.903 6.903 5.601 90.00 90.00 112.21
Sites, in units of the cell vectors:
Ba: 0.250 0.750 0.946
Ba: 0.750 0.250 0.054
Hf: 0.250 0.250 0.500
Hf: 0.750 0.750 0.500
F: 0.069 0.317 0.748
F: 0.070 0.930 0.648
F: 0.183 0.431 0.252
F: 0.317 0.069 0.252
F: 0.430 0.570 0.648
F: 0.431 0.183 0.748
F: 0.569 0.817 0.252
F: 0.570 0.430 0.352
F: 0.683 0.931 0.748
F: 0.817 0.569 0.748
F: 0.930 0.070 0.352
F: 0.931 0.683 0.252

Output
As for the space group: Cmme (67). Its crystal system is orthorhombic. The theoretical density is 5.78 g cm⁻³. Its corrected total energy (MP2020 scheme) is -114.08 eV for the cell shown. Its calculated formation energy is -4.21 eV/atom.

---

Compound: Ba3In2F12
Source: the Materials Project
Functional: PBE
Structure: optimized geometry

Lattice parameters (Å, degrees): 9.731 9.731 5.724 90.00 90.00 90.00
Sites, in units of the cell vectors:
Ba: 0.000 0.000 0.000
Ba: 0.179 0.321 0.500
Ba: 0.321 0.821 0.500
Ba: 0.500 0.500 0.000
Ba: 0.679 0.179 0.500
Ba: 0.821 0.679 0.500
In: 0.133 0.633 0.000
In: 0.367 0.133 0.000
In: 0.633 0.867 0.000
In: 0.867 0.367 0.000
F: 0.000 0.500 0.222
F: 0.000 0.500 0.778
F: 0.055 0.774 0.257
F: 0.055 0.774 0.743
F: 0.208 0.292 0.000
F: 0.226 0.055 0.257
F: 0.226 0.055 0.743
F: 0.274 0.555 0.257
F: 0.274 0.555 0.743
F: 0.292 0.792 0.000
F: 0.445 0.274 0.257
F: 0.445 0.274 0.743
F: 0.500 0.000 0.222
F: 0.500 0.000 0.778
F: 0.555 0.726 0.257
F: 0.555 0.726 0.743
F: 0.708 0.208 0.000
F: 0.726 0.445 0.257
F: 0.726 0.445 0.743
F: 0.774 0.945 0.257
F: 0.774 0.945 0.743
F: 0.792 0.708 0.000
F: 0.945 0.226 0.257
F: 0.945 0.226 0.743

Output
As for the space group: P4/mbm (127). Its crystal system is tetragonal. The theoretical density is 5.33 g cm⁻³. Its corrected total energy (MP2020 scheme) is -189.85 eV for the cell shown. Its calculated formation energy is -3.57 eV/atom.

---

Compound: Ba3IrF6
Source: the Materials Project
Functional: PBE
Structure: optimized geometry

Lattice parameters (Å, degrees): 6.496 6.552 6.667 104.51 100.00 90.62
Sites, in units of the cell vectors:
Ba: 0.000 0.000 0.000
Ba: 0.000 0.500 0.500
Ba: 0.500 0.000 0.500
Ir: 0.000 0.000 0.500
F: 0.139 0.774 0.285
F: 0.258 0.816 0.751
F: 0.272 0.267 0.293
F: 0.728 0.733 0.707
F: 0.742 0.184 0.249
F: 0.861 0.226 0.715

Output
As for the space group: P-1 (2). For the total magnetic moment, the calculation gives 1.00 μB per formula unit. Its crystal system is triclinic. The theoretical density is 4.41 g cm⁻³. Its corrected total energy (MP2020 scheme) is -55.83 eV for the cell shown. Its calculated formation energy is -2.98 eV/atom.